Entry 1:
Compound: LaCoGe3
Source: the Materials Project database
Functional: PBE
Structure: optimized geometry

Unit cell a=5.841 b=5.841 c=5.841 alpha=136.17 beta=136.17 gamma=63.71
Element x y z (fractional)
La  0.339  0.339  0.000
Co  0.004  0.004  0.000
Ge  0.097  0.597  0.500
Ge  0.771  0.771  0.000
Ge  0.597  0.097  0.500

Raw total energy, eV per cell: -29.0
Formation energy, eV per formula unit: -3.089
SG: I4mm

=====

Entry 2:
Compound: Cs2MgFe2S4
Source: the Materials Project database
Functional: PBE
Structure: optimized geometry

Unit cell a=6.234 b=7.285 c=7.383 alpha=119.45 beta=115.01 gamma=89.97
Element x y z (fractional)
Cs  0.322  0.321  0.643
Cs  0.715  0.718  0.430
Mg  0.117  0.615  0.235
Fe  0.268  0.003  0.007
Fe  0.739  0.003  0.007
S  0.997  0.230  0.995
S  0.999  0.766  0.999
S  0.658  0.159  0.316
S  0.336  0.834  0.672

Raw total energy, eV per cell: -43.3
Magnetic moment, μB/cell: 8.0
Formation energy, eV per formula unit: -8.443
SG: Cm

=====

Entry 3:
Compound: UCdO4
Source: the Materials Project database
Functional: PBE
Structure: optimized geometry

Unit cell a=6.434 b=6.434 c=6.434 alpha=34.91 beta=34.91 gamma=34.91
Element x y z (fractional)
U  0.000  0.000  0.000
Cd  0.500  0.500  0.500
O  0.639  0.639  0.639
O  0.361  0.361  0.361
O  0.112  0.112  0.112
O  0.888  0.888  0.888

Raw total energy, eV per cell: -46.5
Magnetic moment, μB/cell: 0.0
Formation energy, eV per formula unit: -17.204
SG: R-3m

=====

Entry 4:
Compound: Sm2Ge3Pt
Source: the Materials Project database
Functional: PBE
Structure: optimized geometry

Unit cell a=4.124 b=4.393 c=7.282 alpha=90.00 beta=90.00 gamma=90.00
Element x y z (fractional)
Sm  0.000  0.500  0.001
Sm  0.000  0.000  0.499
Ge  0.500  0.000  0.834
Ge  0.500  0.000  0.176
Ge  0.500  0.500  0.662
Pt  0.500  0.500  0.327

Raw total energy, eV per cell: -34.5
Magnetic moment, μB/cell: 0.0
Formation energy, eV per formula unit: -5.158
SG: Pmm2

=====

Entry 5:
Compound: Na3La2Mg2PS5O24
Source: the Materials Project database
Functional: PBE
Structure: optimized geometry

Unit cell a=9.124 b=9.165 c=23.895 alpha=90.29 beta=89.78 gamma=119.98
Element x y z (fractional)
Na  0.367  0.992  0.750
Na  0.657  0.971  0.589
Na  0.674  0.692  0.083
Na  0.029  0.002  0.510
Na  0.018  0.004  0.008
Na  0.682  0.336  0.833
Na  0.667  0.334  0.333
Na  0.306  0.664  0.167
Na  0.331  0.659  0.667
La  0.001  0.999  0.355
La  0.985  0.000  0.855
La  0.671  0.334  0.679
La  0.677  0.336  0.181
La  0.674  0.336  0.983
La  0.655  0.328  0.483
Mg  0.002  0.000  0.653
Mg  0.011  0.999  0.152
Mg  0.320  0.669  0.017
Mg  0.327  0.669  0.516
Mg  0.333  0.666  0.315
Mg  0.345  0.668  0.815
P  0.690  0.986  0.746
P  0.346  0.011  0.585
P  0.983  0.656  0.083
S  0.293  0.985  0.249
S  0.691  0.708  0.248
S  0.017  0.304  0.249
S  0.289  0.301  0.749
S  0.013  0.710  0.750
S  0.986  0.331  0.582
S  0.667  0.654  0.583
S  0.667  0.013  0.083
S  0.350  0.336  0.083
S  0.605  0.662  0.919
S  0.061  0.396  0.916
S  0.336  0.946  0.915
S  0.606  0.942  0.417
S  0.335  0.397  0.416
S  0.055  0.662  0.416
O  0.217  0.011  0.301
O  0.798  0.790  0.298
O  0.996  0.206  0.301
O  0.216  0.196  0.800
O  0.991  0.786  0.802
O  0.799  0.011  0.799
O  0.780  0.977  0.692
O  0.187  0.213  0.699
O  0.030  0.817  0.701
O  0.777  0.804  0.197
O  0.027  0.213  0.199
O  0.190  0.973  0.199
O  0.915  0.369  0.632
O  0.463  0.089  0.638
O  0.638  0.549  0.633
O  0.900  0.539  0.135
O  0.632  0.088  0.133
O  0.466  0.371  0.132
O  0.427  0.300  0.033
O  0.855  0.569  0.034
O  0.696  0.122  0.033
O  0.439  0.136  0.536
O  0.699  0.573  0.533
O  0.866  0.297  0.534
O  0.520  0.664  0.972
O  0.147  0.482  0.968
O  0.333  0.852  0.965
O  0.525  0.857  0.470
O  0.334  0.484  0.468
O  0.146  0.668  0.468
O  0.140  0.658  0.364
O  0.513  0.853  0.367
O  0.337  0.484  0.365
O  0.147  0.485  0.864
O  0.341  0.865  0.862
O  0.516  0.660  0.868
O  0.035  0.816  0.418
O  0.780  0.962  0.418
O  0.182  0.223  0.418
O  0.041  0.224  0.918
O  0.182  0.966  0.917
O  0.779  0.814  0.921
O  0.990  0.173  0.590
O  0.171  0.995  0.594
O  0.817  0.825  0.590
O  0.988  0.826  0.093
O  0.821  0.998  0.091
O  0.182  0.188  0.093
O  0.662  0.143  0.745
O  0.462  0.318  0.744
O  0.864  0.538  0.745
O  0.670  0.535  0.246
O  0.863  0.324  0.247
O  0.466  0.136  0.245
O  0.626  0.509  0.917
O  0.885  0.374  0.915
O  0.490  0.119  0.916
O  0.628  0.116  0.416
O  0.489  0.375  0.415
O  0.881  0.510  0.416
O  0.342  0.492  0.074
O  0.158  0.675  0.073
O  0.520  0.841  0.074
O  0.342  0.842  0.574
O  0.515  0.671  0.574
O  0.155  0.476  0.571
O  0.305  0.830  0.253
O  0.524  0.695  0.254
O  0.171  0.474  0.253
O  0.306  0.469  0.755
O  0.171  0.699  0.754
O  0.511  0.828  0.753

Raw total energy, eV per cell: -719.2
Magnetic moment, μB/cell: 0.0
Formation energy, eV per formula unit: -94.328
SG: P1

=====

Entry 6:
Compound: BaCaPrSbO6
Source: the Materials Project database
Functional: PBE
Structure: optimized geometry

Unit cell a=6.100 b=6.100 c=6.100 alpha=60.00 beta=60.00 gamma=60.00
Element x y z (fractional)
Ba  0.750  0.750  0.750
Ca  0.250  0.250  0.250
Pr  0.000  0.000  0.000
Sb  0.500  0.500  0.500
O  0.732  0.268  0.268
O  0.268  0.732  0.732
O  0.732  0.268  0.732
O  0.268  0.732  0.268
O  0.732  0.732  0.268
O  0.268  0.268  0.732

Raw total energy, eV per cell: -67.2
Magnetic moment, μB/cell: 0.0
Formation energy, eV per formula unit: -28.766
SG: F-43m